Entry 1:
! Li3Ni5O10 PBE+U relaxed; values from VASP
&SYSTEM
  ibrav = 0, nat = 18, ntyp = 3
/
ATOMIC_SPECIES
Li 6.94 Li.upf
Ni 58.69 Ni.upf
O 16.00 O.upf
CELL_PARAMETERS angstrom
5.002 0.000 0.000
0.900 4.960 0.000
2.411 1.967 6.755
ATOMIC_POSITIONS crystal
Li 0.000 0.000 0.000
Li 0.278 0.501 0.918
Li 0.722 0.499 0.082
Ni 0.198 0.013 0.600
Ni 0.394 0.002 0.198
Ni 0.500 0.500 0.500
Ni 0.606 0.998 0.802
Ni 0.802 0.987 0.400
O 0.050 0.204 0.166
O 0.176 0.785 0.445
O 0.285 0.230 0.740
O 0.388 0.781 0.039
O 0.448 0.221 0.355
O 0.552 0.779 0.645
O 0.612 0.219 0.961
O 0.715 0.770 0.260
O 0.824 0.215 0.555
O 0.950 0.796 0.834
! corrected total energy (MP2020 scheme)	-5.882	eV/atom
! total moment	3.0	μB per formula unit
! energy of formation from the pure elements	-1209	meV per atom
! energy above the most stable polymorph in this dataset	37	meV/atom
! density	4699	kg/m³
! V	168	Å³ per cell
! VASP energy	-4.7945	eV/atom



Entry 2:
! NaCrF4 PBE+U relaxed; values from VASP
&SYSTEM
  ibrav = 0, nat = 24, ntyp = 3
/
ATOMIC_SPECIES
Na 22.99 Na.upf
Cr 52.00 Cr.upf
F 19.00 F.upf
CELL_PARAMETERS angstrom
7.994 0.000 0.000
0.000 5.415 0.000
-1.477 0.000 7.387
ATOMIC_POSITIONS crystal
Na 0.136 0.220 0.390
Na 0.136 0.280 0.890
Na 0.864 0.720 0.110
Na 0.864 0.780 0.610
Cr 0.331 0.742 0.202
Cr 0.331 0.758 0.702
Cr 0.669 0.242 0.298
Cr 0.669 0.258 0.798
F 0.130 0.544 0.187
F 0.130 0.956 0.687
F 0.190 0.019 0.126
F 0.190 0.481 0.626
F 0.332 0.641 0.951
F 0.332 0.859 0.451
F 0.460 0.061 0.795
F 0.460 0.439 0.295
F 0.540 0.561 0.705
F 0.540 0.939 0.205
F 0.668 0.141 0.549
F 0.668 0.359 0.049
F 0.810 0.519 0.374
F 0.810 0.981 0.874
F 0.870 0.044 0.313
F 0.870 0.456 0.813
! corrected total energy (MP2020 scheme)	-6.175	eV/atom
! energy of formation from the pure elements	-3069	meV per atom
! density	3136	kg/m³
! V	320	Å³ per cell
! VASP energy	-5.5337	eV/atom



Entry 3:
! MgP2W2O10 PBE+U relaxed; values from VASP
&SYSTEM
  ibrav = 0, nat = 30, ntyp = 4
/
ATOMIC_SPECIES
Mg 24.30 Mg.upf
P 30.97 P.upf
W 183.84 W.upf
O 16.00 O.upf
CELL_PARAMETERS angstrom
0.000 7.835 3.790
6.119 0.000 3.790
6.119 7.835 0.000
ATOMIC_POSITIONS crystal
Mg 0.000 0.000 0.000
Mg 0.250 0.250 0.250
P 0.055 0.457 0.044
P 0.206 0.806 0.195
P 0.457 0.055 0.444
P 0.806 0.206 0.793
W 0.132 0.629 0.619
W 0.629 0.132 0.620
W 0.630 0.631 0.621
W 0.631 0.630 0.118
O 0.008 0.314 0.716
O 0.070 0.382 0.914
O 0.193 0.882 0.324
O 0.254 0.941 0.525
O 0.289 0.534 0.936
O 0.314 0.008 0.961
O 0.336 0.616 0.180
O 0.382 0.070 0.634
O 0.426 0.586 0.412
O 0.534 0.289 0.242
O 0.586 0.426 0.576
O 0.616 0.336 0.868
O 0.649 0.926 0.368
O 0.674 0.838 0.664
O 0.725 0.970 0.996
O 0.838 0.674 0.824
O 0.882 0.193 0.601
O 0.926 0.649 0.057
O 0.941 0.254 0.280
O 0.970 0.725 0.309
! corrected total energy (MP2020 scheme)	-8.261	eV/atom
! total moment	4.0	μB per formula unit
! energy of formation from the pure elements	-2406	meV per atom
! density	5610	kg/m³
! V	363	Å³ per cell
! VASP energy	-7.2115	eV/atom



Entry 4:
! Li4Co3O7 PBE+U relaxed; values from VASP
&SYSTEM
  ibrav = 0, nat = 28, ntyp = 3
/
ATOMIC_SPECIES
Li 6.94 Li.upf
Co 58.93 Co.upf
O 16.00 O.upf
CELL_PARAMETERS angstrom
7.704 -1.458 0.000
7.704 1.458 0.000
-6.012 0.000 11.111
ATOMIC_POSITIONS crystal
Li 0.000 0.000 0.000
Li 0.071 0.071 0.354
Li 0.213 0.213 0.068
Li 0.360 0.360 0.789
Li 0.500 0.500 0.500
Li 0.640 0.640 0.211
Li 0.787 0.787 0.932
Li 0.929 0.929 0.646
Co 0.146 0.146 0.719
Co 0.286 0.286 0.427
Co 0.430 0.430 0.135
Co 0.570 0.570 0.865
Co 0.714 0.714 0.573
Co 0.854 0.854 0.281
O 0.028 0.028 0.175
O 0.112 0.112 0.541
O 0.170 0.170 0.888
O 0.254 0.254 0.251
O 0.315 0.315 0.603
O 0.396 0.396 0.984
O 0.455 0.455 0.302
O 0.545 0.545 0.698
O 0.604 0.604 0.016
O 0.685 0.685 0.397
O 0.746 0.746 0.749
O 0.830 0.830 0.112
O 0.888 0.888 0.459
O 0.972 0.972 0.825
! corrected total energy (MP2020 scheme)	-6.224	eV/atom
! total moment	1.0	μB per formula unit
! energy of formation from the pure elements	-1681	meV per atom
! energy above the most stable polymorph in this dataset	30	meV/atom
! density	4211	kg/m³
! V	250	Å³ per cell
! VASP energy	-5.5290	eV/atom



Entry 5:
! LiCo2OF3 PBE+U relaxed; values from VASP
&SYSTEM
  ibrav = 0, nat = 28, ntyp = 4
/
ATOMIC_SPECIES
Li 6.94 Li.upf
Co 58.93 Co.upf
O 16.00 O.upf
F 19.00 F.upf
CELL_PARAMETERS angstrom
10.291 0.000 0.000
0.000 5.999 0.000
0.000 0.000 5.193
ATOMIC_POSITIONS crystal
Li 0.090 0.250 0.025
Li 0.410 0.750 0.525
Li 0.590 0.250 0.475
Li 0.910 0.750 0.975
Co 0.000 0.000 0.500
Co 0.000 0.500 0.500
Co 0.245 0.750 0.998
Co 0.255 0.250 0.498
Co 0.500 0.000 0.000
Co 0.500 0.500 0.000
Co 0.745 0.750 0.502
Co 0.755 0.250 0.002
O 0.084 0.250 0.668
O 0.416 0.750 0.168
O 0.584 0.250 0.832
O 0.916 0.750 0.332
F 0.075 0.750 0.791
F 0.166 0.012 0.229
F 0.166 0.488 0.229
F 0.334 0.512 0.729
F 0.334 0.988 0.729
F 0.425 0.250 0.291
F 0.575 0.750 0.709
F 0.666 0.012 0.271
F 0.666 0.488 0.271
F 0.834 0.512 0.771
F 0.834 0.988 0.771
F 0.925 0.250 0.209
! corrected total energy (MP2020 scheme)	-6.026	eV/atom
! total moment	6.0	μB per formula unit
! energy of formation from the pure elements	-2195	meV per atom
! energy above the most stable polymorph in this dataset	24	meV/atom
! density	4098	kg/m³
! V	321	Å³ per cell
! VASP energy	-5.2620	eV/atom



Entry 6:
! Ba2Y2Co4O11 PBE+U relaxed; values from VASP
&SYSTEM
  ibrav = 0, nat = 19, ntyp = 4
/
ATOMIC_SPECIES
Ba 137.33 Ba.upf
Y 88.91 Y.upf
Co 58.93 Co.upf
O 16.00 O.upf
CELL_PARAMETERS angstrom
3.914 0.000 0.000
0.000 7.597 0.000
0.000 0.000 7.900
ATOMIC_POSITIONS crystal
Ba 0.000 0.000 0.244
Ba 0.000 0.000 0.756
Y 0.000 0.500 0.270
Y 0.000 0.500 0.730
Co 0.500 0.253 0.500
Co 0.500 0.262 0.000
Co 0.500 0.738 0.000
Co 0.500 0.747 0.500
O 0.000 0.277 0.500
O 0.000 0.314 0.000
O 0.000 0.686 0.000
O 0.000 0.723 0.500
O 0.500 0.000 0.000
O 0.500 0.000 0.500
O 0.500 0.302 0.232
O 0.500 0.302 0.768
O 0.500 0.500 0.500
O 0.500 0.698 0.232
O 0.500 0.698 0.768
! corrected total energy (MP2020 scheme)	-7.534	eV/atom
! total moment	12.0	μB per formula unit
! energy of formation from the pure elements	-2290	meV per atom
! density	6108	kg/m³
! V	235	Å³ per cell
! VASP energy	-6.7912	eV/atom



Entry 7:
! SmTlW2O8 PBE+U relaxed; values from VASP
&SYSTEM
  ibrav = 0, nat = 24, ntyp = 4
/
ATOMIC_SPECIES
Sm 150.36 Sm.upf
Tl 204.38 Tl.upf
W 183.84 W.upf
O 16.00 O.upf
CELL_PARAMETERS angstrom
5.533 -5.432 0.000
5.533 5.432 0.000
-4.873 0.000 5.742
ATOMIC_POSITIONS crystal
Sm 0.224 0.776 0.750
Sm 0.776 0.224 0.250
Tl 0.213 0.787 0.250
Tl 0.787 0.213 0.750
W 0.301 0.311 0.783
W 0.311 0.301 0.283
W 0.689 0.699 0.717
W 0.699 0.689 0.217
O 0.048 0.225 0.192
O 0.064 0.372 0.629
O 0.225 0.048 0.692
O 0.251 0.376 0.059
O 0.372 0.064 0.129
O 0.373 0.589 0.531
O 0.376 0.251 0.559
O 0.411 0.627 0.969
O 0.589 0.373 0.031
O 0.624 0.749 0.441
O 0.627 0.411 0.469
O 0.628 0.936 0.871
O 0.749 0.624 0.941
O 0.775 0.952 0.308
O 0.936 0.628 0.371
O 0.952 0.775 0.808
! corrected total energy (MP2020 scheme)	-8.544	eV/atom
! total moment	0.0	μB per formula unit
! energy of formation from the pure elements	-2495	meV per atom
! density	8183	kg/m³
! V	345	Å³ per cell
! VASP energy	-7.3462	eV/atom



Entry 8:
! LiMo3O8 PBE+U relaxed; values from VASP
&SYSTEM
  ibrav = 0, nat = 12, ntyp = 3
/
ATOMIC_SPECIES
Li 6.94 Li.upf
Mo 95.94 Mo.upf
O 16.00 O.upf
CELL_PARAMETERS angstrom
3.090 1.784 4.907
-3.090 1.784 4.907
0.000 -3.568 4.907
ATOMIC_POSITIONS crystal
Li 0.000 0.000 0.000
Mo 0.120 0.616 0.616
Mo 0.616 0.120 0.616
Mo 0.616 0.616 0.120
O 0.365 0.365 0.820
O 0.365 0.820 0.365
O 0.375 0.375 0.375
O 0.404 0.875 0.875
O 0.820 0.365 0.365
O 0.860 0.860 0.860
O 0.875 0.404 0.875
O 0.875 0.875 0.404
! corrected total energy (MP2020 scheme)	-8.021	eV/atom
! total moment	3.0	μB per formula unit
! energy of formation from the pure elements	-1852	meV per atom
! density	4325	kg/m³
! V	162	Å³ per cell
! VASP energy	-6.7628	eV/atom



Entry 9:
! RbErW2O8 PBE+U relaxed; values from VASP
&SYSTEM
  ibrav = 0, nat = 48, ntyp = 4
/
ATOMIC_SPECIES
Rb 85.47 Rb.upf
Er 167.26 Er.upf
W 183.84 W.upf
O 16.00 O.upf
CELL_PARAMETERS angstrom
9.050 0.000 0.000
0.000 10.406 0.000
-1.295 0.000 7.939
ATOMIC_POSITIONS crystal
Rb 0.012 0.213 0.073
Rb 0.012 0.287 0.573
Rb 0.988 0.713 0.427
Rb 0.988 0.787 0.927
Er 0.440 0.223 0.979
Er 0.440 0.277 0.479
Er 0.560 0.723 0.521
Er 0.560 0.777 0.021
W 0.280 0.509 0.213
W 0.280 0.991 0.713
W 0.338 0.511 0.822
W 0.338 0.989 0.322
W 0.662 0.011 0.678
W 0.662 0.489 0.178
W 0.720 0.009 0.287
W 0.720 0.491 0.787
O 0.105 0.587 0.150
O 0.105 0.913 0.650
O 0.170 0.587 0.732
O 0.170 0.913 0.232
O 0.232 0.131 0.834
O 0.232 0.369 0.334
O 0.274 0.103 0.497
O 0.274 0.397 0.997
O 0.346 0.137 0.196
O 0.346 0.363 0.696
O 0.366 0.614 0.387
O 0.366 0.886 0.887
O 0.410 0.602 0.049
O 0.410 0.898 0.549
O 0.491 0.610 0.744
O 0.491 0.890 0.244
O 0.509 0.110 0.756
O 0.509 0.390 0.256
O 0.590 0.102 0.451
O 0.590 0.398 0.951
O 0.634 0.114 0.113
O 0.634 0.386 0.613
O 0.654 0.637 0.304
O 0.654 0.863 0.804
O 0.726 0.603 0.003
O 0.726 0.897 0.503
O 0.768 0.631 0.666
O 0.768 0.869 0.166
O 0.830 0.087 0.768
O 0.830 0.413 0.268
O 0.895 0.087 0.350
O 0.895 0.413 0.850
! corrected total energy (MP2020 scheme)	-8.578	eV/atom
! total moment	0.0	μB per formula unit
! energy of formation from the pure elements	-2658	meV per atom
! density	6649	kg/m³
! V	748	Å³ per cell
! VASP energy	-7.3806	eV/atom



Entry 10:
! NaCrSi2O6 PBE+U relaxed; values from VASP
&SYSTEM
  ibrav = 0, nat = 20, ntyp = 4
/
ATOMIC_SPECIES
Na 22.99 Na.upf
Cr 52.00 Cr.upf
Si 28.09 Si.upf
O 16.00 O.upf
CELL_PARAMETERS angstrom
4.872 -4.431 0.000
4.872 4.431 0.000
-1.647 0.000 5.096
ATOMIC_POSITIONS crystal
Na 0.203 0.797 0.750
Na 0.797 0.203 0.250
Cr 0.406 0.594 0.250
Cr 0.594 0.406 0.750
Si 0.117 0.298 0.765
Si 0.298 0.117 0.265
Si 0.702 0.883 0.735
Si 0.883 0.702 0.235
O 0.117 0.603 0.302
O 0.141 0.154 0.986
O 0.154 0.141 0.486
O 0.306 0.465 0.862
O 0.397 0.883 0.198
O 0.465 0.306 0.362
O 0.535 0.694 0.638
O 0.603 0.117 0.802
O 0.694 0.535 0.138
O 0.846 0.859 0.514
O 0.859 0.846 0.014
O 0.883 0.397 0.698
! corrected total energy (MP2020 scheme)	-8.047	eV/atom
! energy of formation from the pure elements	-2896	meV per atom
! density	3429	kg/m³
! V	220	Å³ per cell
! VASP energy	-7.4351	eV/atom



Entry 11:
! Li4Ni3Sb5O16 PBE+U relaxed; values from VASP
&SYSTEM
  ibrav = 0, nat = 56, ntyp = 4
/
ATOMIC_SPECIES
Li 6.94 Li.upf
Ni 58.69 Ni.upf
Sb 121.76 Sb.upf
O 16.00 O.upf
CELL_PARAMETERS angstrom
10.364 0.000 0.000
0.000 6.197 0.000
-0.030 0.000 10.635
ATOMIC_POSITIONS crystal
Li 0.000 0.000 0.000
Li 0.002 0.500 0.492
Li 0.388 0.500 0.829
Li 0.398 0.000 0.334
Li 0.478 0.000 0.018
Li 0.484 0.500 0.492
Li 0.882 0.000 0.675
Li 0.885 0.500 0.175
Ni 0.214 0.246 0.575
Ni 0.214 0.754 0.575
Ni 0.221 0.253 0.073
Ni 0.221 0.747 0.073
Ni 0.704 0.500 0.664
Ni 0.708 0.000 0.170
Sb 0.014 0.500 0.814
Sb 0.019 0.000 0.315
Sb 0.215 0.000 0.821
Sb 0.226 0.500 0.322
Sb 0.468 0.000 0.648
Sb 0.480 0.500 0.152
Sb 0.704 0.254 0.917
Sb 0.704 0.746 0.917
Sb 0.710 0.247 0.410
Sb 0.710 0.753 0.410
O 0.099 0.500 0.648
O 0.107 0.000 0.666
O 0.107 0.234 0.907
O 0.107 0.766 0.907
O 0.108 0.000 0.151
O 0.113 0.268 0.400
O 0.113 0.732 0.400
O 0.124 0.500 0.164
O 0.308 0.000 0.985
O 0.310 0.500 0.488
O 0.333 0.222 0.738
O 0.333 0.778 0.738
O 0.339 0.000 0.508
O 0.354 0.500 0.013
O 0.357 0.284 0.239
O 0.357 0.716 0.239
O 0.588 0.249 0.078
O 0.588 0.751 0.078
O 0.591 0.000 0.869
O 0.591 0.500 0.323
O 0.596 0.278 0.555
O 0.596 0.500 0.840
O 0.596 0.722 0.555
O 0.601 0.000 0.333
O 0.803 0.500 0.999
O 0.804 0.257 0.762
O 0.804 0.743 0.762
O 0.806 0.000 0.001
O 0.807 0.000 0.492
O 0.812 0.500 0.487
O 0.813 0.240 0.257
O 0.813 0.760 0.257
! corrected total energy (MP2020 scheme)	-6.301	eV/atom
! total moment	6.0	μB per formula unit
! energy of formation from the pure elements	-1844	meV per atom
! energy above the most stable polymorph in this dataset	0	meV/atom
! density	5196	kg/m³
! V	683	Å³ per cell
! VASP energy	-5.6358	eV/atom



Entry 12:
! Ba3Y2MoO9 PBE+U relaxed; values from VASP
&SYSTEM
  ibrav = 0, nat = 30, ntyp = 4
/
ATOMIC_SPECIES
Ba 137.33 Ba.upf
Y 88.91 Y.upf
Mo 95.94 Mo.upf
O 16.00 O.upf
CELL_PARAMETERS angstrom
-3.050 4.324 9.162
3.050 -4.324 9.162
3.050 4.324 -9.162
ATOMIC_POSITIONS crystal
Ba 0.080 0.339 0.741
Ba 0.237 0.000 0.237
Ba 0.403 0.661 0.741
Ba 0.597 0.339 0.259
Ba 0.763 0.000 0.763
Ba 0.920 0.661 0.259
Y 0.000 0.500 0.500
Y 0.171 0.171 0.000
Y 0.500 0.500 0.000
Y 0.829 0.829 0.000
Mo 0.334 0.834 0.500
Mo 0.666 0.166 0.500
O 0.089 0.339 0.250
O 0.089 0.839 0.750
O 0.101 0.830 0.272
O 0.254 0.500 0.754
O 0.260 0.530 0.270
O 0.260 0.990 0.730
O 0.410 0.137 0.727
O 0.410 0.683 0.273
O 0.442 0.170 0.272
O 0.558 0.830 0.728
O 0.590 0.317 0.727
O 0.590 0.863 0.273
O 0.740 0.010 0.270
O 0.740 0.470 0.730
O 0.746 0.500 0.246
O 0.899 0.170 0.728
O 0.911 0.161 0.250
O 0.911 0.661 0.750
! corrected total energy (MP2020 scheme)	-8.103	eV/atom
! total moment	0.0	μB per formula unit
! energy of formation from the pure elements	-3165	meV per atom
! density	5702	kg/m³
! V	483	Å³ per cell
! VASP energy	-7.4775	eV/atom